Crystalline RbPO3 at its relaxed geometry, computed with PBE.

Energy with MP2020 corrections = -6.925 eV per atom
VASP energy = -32.56 eV per formula unit
Formation energy from the elements = -2.6774 eV per atom

```
data_RbPO3
_chemical_formula_sum 'Rb4 P4 O12'
_symmetry_space_group_name_H-M 'P 1 21/c 1'
_symmetry_Int_Tables_number 14
_symmetry_space_group_name_Hall '-P 2ybc'
_cell_length_a 6.625
_cell_length_b 4.318
_cell_length_c 13.402
_cell_angle_alpha 90.00
_cell_angle_beta 113.76
_cell_angle_gamma 90.00
loop_
_atom_site_label
_atom_site_type_symbol
_atom_site_fract_x
_atom_site_fract_y
_atom_site_fract_z
Rb1 Rb 0.186 0.134 0.407
P1 P 0.361 0.510 0.679
O1 O 0.153 0.131 0.177
O2 O 0.366 0.655 0.578
O3 O 0.438 0.742 0.280
```